The following is a PBE-GGA calculation of an optimized crystal structure of Gd2CuTe2S2O14, from the Materials Project.

Results
Formation enthalpy at 0 K = -2.27 eV/atom

a b c (Å): 5.238 8.022 8.267
angles (deg): 62.01 74.25 85.33
Sites, in units of the cell vectors:
1 O 0.146 0.585 0.244
2 Gd 0.929 0.749 0.982
3 O 0.255 0.562 0.888
4 O 0.252 0.928 0.655
5 Cu 0.000 0.000 0.500
6 Te 0.491 0.731 0.652
7 S 0.746 0.254 0.746
8 O 0.139 0.747 0.436
9 O 0.453 0.261 0.781
10 O 0.854 0.415 0.756
11 O 0.748 0.072 0.345
12 Te 0.509 0.269 0.348
13 O 0.178 0.919 0.095
14 O 0.861 0.253 0.564
15 O 0.269 0.187 0.259
16 Gd 0.071 0.251 0.018
17 O 0.731 0.813 0.741
18 O 0.745 0.438 0.112
19 S 0.254 0.746 0.254
20 O 0.547 0.739 0.219
21 O 0.822 0.081 0.905